1.
Below is CsBr after structural relaxation, with properties calculated at the GGA-PBE level.

Lattice parameters (Å, degrees): 4.393 4.393 4.393 90.00 90.00 90.00
Positions (direct):
Cs (0.000, 0.000, 0.000)
Br (0.500, 0.500, 0.500)

## Properties
- Raw total energy: -0.1107 hartree per atom
- Symmetry: No. 221
- Calculated density: 4.168 Mg/m³
- Formation energy: -2.01 eV/atom
- Crystal system: cubic

2.
Below is CsBr3 after structural relaxation, with properties calculated at the GGA-PBE level.

Lattice parameters (Å, degrees): 6.871 9.868 10.277 90.00 90.00 90.00
Positions (direct):
Cs (0.250, 0.042, 0.685)
Cs (0.750, 0.958, 0.315)
Cs (0.750, 0.542, 0.815)
Cs (0.250, 0.458, 0.185)
Br (0.250, 0.766, 0.943)
Br (0.750, 0.234, 0.057)
Br (0.750, 0.266, 0.557)
Br (0.250, 0.734, 0.443)
Br (0.250, 0.388, 0.822)
Br (0.750, 0.612, 0.178)
Br (0.750, 0.888, 0.678)
Br (0.250, 0.112, 0.322)
Br (0.250, 0.564, 0.627)
Br (0.750, 0.436, 0.373)
Br (0.750, 0.064, 0.873)
Br (0.250, 0.936, 0.127)

## Properties
- Raw total energy: -0.0894 hartree per atom
- Symmetry: No. 62
- Calculated density: 3.552 Mg/m³
- Formation energy: -1.38 eV/atom
- Crystal system: orthorhombic

3.
Below is Cs3Cu2Br5 after structural relaxation, with properties calculated at the GGA-PBE level.

Lattice parameters (Å, degrees): 9.849 11.106 13.851 90.00 90.00 90.00
Positions (direct):
Cs (0.402, 0.750, 0.454)
Cs (0.547, 0.515, 0.822)
Cs (0.098, 0.250, 0.954)
Cs (0.047, 0.515, 0.678)
Cs (0.453, 0.485, 0.178)
Cs (0.047, 0.985, 0.678)
Cs (0.547, 0.985, 0.822)
Cs (0.953, 0.485, 0.322)
Cs (0.953, 0.015, 0.322)
Cs (0.902, 0.750, 0.046)
Cs (0.598, 0.250, 0.546)
Cs (0.453, 0.015, 0.178)
Cu (0.747, 0.750, 0.631)
Cu (0.292, 0.750, 0.048)
Cu (0.253, 0.250, 0.369)
Cu (0.753, 0.250, 0.131)
Cu (0.208, 0.250, 0.548)
Cu (0.708, 0.250, 0.952)
Cu (0.792, 0.750, 0.452)
Cu (0.247, 0.750, 0.869)
Br (0.532, 0.750, 0.012)
Br (0.668, 0.250, 0.291)
Br (0.298, 0.250, 0.708)
Br (0.168, 0.250, 0.209)
Br (0.032, 0.750, 0.488)
Br (0.192, 0.937, 0.947)
Br (0.702, 0.750, 0.292)
Br (0.808, 0.063, 0.053)
Br (0.308, 0.063, 0.447)
Br (0.832, 0.750, 0.791)
Br (0.968, 0.250, 0.512)
Br (0.808, 0.437, 0.053)
Br (0.468, 0.250, 0.988)
Br (0.332, 0.750, 0.709)
Br (0.692, 0.563, 0.553)
Br (0.692, 0.937, 0.553)
Br (0.308, 0.437, 0.447)
Br (0.798, 0.250, 0.792)
Br (0.202, 0.750, 0.208)
Br (0.192, 0.563, 0.947)

## Properties
- Raw total energy: -0.1145 hartree per atom
- Symmetry: No. 62
- Calculated density: 4.057 Mg/m³
- Formation energy: -1.48 eV/atom
- Crystal system: orthorhombic

4.
Below is Cs2InCuBr6 after structural relaxation, with properties calculated at the GGA-PBE level.

Lattice parameters (Å, degrees): 7.732 7.732 7.732 60.00 60.00 60.00
Positions (direct):
Cs (0.750, 0.750, 0.750)
Cs (0.250, 0.250, 0.250)
In (0.000, 0.000, 0.000)
Cu (0.500, 0.500, 0.500)
Br (0.746, 0.254, 0.254)
Br (0.254, 0.254, 0.746)
Br (0.254, 0.746, 0.746)
Br (0.254, 0.746, 0.254)
Br (0.746, 0.254, 0.746)
Br (0.746, 0.746, 0.254)

## Properties
- Raw total energy: -0.1086 hartree per atom
- Symmetry: No. 225
- Calculated density: 4.691 Mg/m³
- Formation energy: -1.43 eV/atom
- Crystal system: cubic

5.
Below is Cs2NdCuBr6 after structural relaxation, with properties calculated at the GGA-PBE level.

Lattice parameters (Å, degrees): 7.942 7.942 7.942 60.00 60.00 60.00
Positions (direct):
Cs (0.750, 0.750, 0.750)
Cs (0.250, 0.250, 0.250)
Nd (0.500, 0.500, 0.500)
Cu (0.000, 0.000, 0.000)
Br (0.758, 0.242, 0.242)
Br (0.242, 0.242, 0.758)
Br (0.242, 0.758, 0.758)
Br (0.242, 0.758, 0.242)
Br (0.758, 0.242, 0.758)
Br (0.758, 0.758, 0.242)

## Properties
- Raw total energy: -0.1312 hartree per atom
- Symmetry: No. 225
- Calculated density: 4.468 Mg/m³
- Formation energy: -1.84 eV/atom
- Crystal system: cubic

6.
Below is Cs2PrCuBr6 after structural relaxation, with properties calculated at the GGA-PBE level.

Lattice parameters (Å, degrees): 7.978 7.978 7.978 60.00 60.00 60.00
Positions (direct):
Cs (0.750, 0.750, 0.750)
Cs (0.250, 0.250, 0.250)
Pr (0.500, 0.500, 0.500)
Cu (0.000, 0.000, 0.000)
Br (0.759, 0.241, 0.241)
Br (0.241, 0.241, 0.759)
Br (0.241, 0.759, 0.759)
Br (0.241, 0.759, 0.241)
Br (0.759, 0.241, 0.759)
Br (0.759, 0.759, 0.241)

## Properties
- Raw total energy: -0.1312 hartree per atom
- Symmetry: No. 225
- Calculated density: 4.393 Mg/m³
- Formation energy: -1.84 eV/atom
- Crystal system: cubic

7.
Below is Cs2TaCuBr6 after structural relaxation, with properties calculated at the GGA-PBE level.

Lattice parameters (Å, degrees): 7.639 7.639 7.639 60.00 60.00 60.00
Positions (direct):
Cs (0.250, 0.250, 0.250)
Cs (0.750, 0.750, 0.750)
Ta (0.500, 0.500, 0.500)
Cu (0.000, 0.000, 0.000)
Br (0.253, 0.253, 0.747)
Br (0.253, 0.747, 0.747)
Br (0.747, 0.747, 0.253)
Br (0.253, 0.747, 0.253)
Br (0.747, 0.253, 0.747)
Br (0.747, 0.253, 0.253)

## Properties
- Raw total energy: -0.1372 hartree per atom
- Symmetry: No. 225
- Calculated density: 5.213 Mg/m³
- Formation energy: -1.30 eV/atom
- Crystal system: cubic

8.
Below is Cs2TlCuBr6 after structural relaxation, with properties calculated at the GGA-PBE level.

Lattice parameters (Å, degrees): 7.831 7.831 7.831 60.00 60.00 60.00
Positions (direct):
Cs (0.750, 0.750, 0.750)
Cs (0.250, 0.250, 0.250)
Tl (0.000, 0.000, 0.000)
Cu (0.500, 0.500, 0.500)
Br (0.737, 0.263, 0.263)
Br (0.263, 0.263, 0.737)
Br (0.263, 0.737, 0.737)
Br (0.263, 0.737, 0.263)
Br (0.737, 0.263, 0.737)
Br (0.737, 0.737, 0.263)

## Properties
- Raw total energy: -0.1039 hartree per atom
- Symmetry: No. 225
- Calculated density: 4.954 Mg/m³
- Formation energy: -1.34 eV/atom
- Crystal system: cubic

9.
Below is CsDyBr3 after structural relaxation, with properties calculated at the GGA-PBE level.

Lattice parameters (Å, degrees): 8.017 8.017 5.730 90.00 90.00 90.00
Positions (direct):
Cs (0.000, 0.500, 0.500)
Cs (0.500, 0.000, 0.500)
Dy (0.500, 0.500, 0.000)
Dy (0.000, 0.000, 0.000)
Br (0.500, 0.500, 0.500)
Br (0.000, 0.000, 0.500)
Br (0.780, 0.280, 0.000)
Br (0.220, 0.720, 0.000)
Br (0.280, 0.220, 0.000)
Br (0.720, 0.780, 0.000)

## Properties
- Raw total energy: -0.1357 hartree per atom
- Symmetry: No. 127
- Calculated density: 4.825 Mg/m³
- Formation energy: -1.93 eV/atom
- Crystal system: tetragonal

10.
Below is Cs3Er2Br9 after structural relaxation, with properties calculated at the GGA-PBE level.

Lattice parameters (Å, degrees): 10.475 10.475 10.475 83.18 83.18 83.18
Positions (direct):
Cs (0.590, 0.910, 0.250)
Cs (0.250, 0.590, 0.910)
Cs (0.910, 0.250, 0.590)
Cs (0.750, 0.410, 0.090)
Cs (0.090, 0.750, 0.410)
Cs (0.410, 0.090, 0.750)
Er (0.846, 0.846, 0.846)
Er (0.346, 0.346, 0.346)
Er (0.154, 0.154, 0.154)
Er (0.654, 0.654, 0.654)
Br (0.096, 0.404, 0.250)
Br (0.250, 0.096, 0.404)
Br (0.404, 0.250, 0.096)
Br (0.750, 0.904, 0.596)
Br (0.596, 0.750, 0.904)
Br (0.904, 0.596, 0.750)
Br (0.236, 0.415, 0.577)
Br (0.577, 0.236, 0.415)
Br (0.415, 0.577, 0.236)
Br (0.077, 0.915, 0.736)
Br (0.736, 0.077, 0.915)
Br (0.915, 0.736, 0.077)
Br (0.764, 0.585, 0.423)
Br (0.423, 0.764, 0.585)
Br (0.585, 0.423, 0.764)
Br (0.923, 0.085, 0.264)
Br (0.264, 0.923, 0.085)
Br (0.085, 0.264, 0.923)

## Properties
- Raw total energy: -0.1398 hartree per atom
- Symmetry: No. 167
- Calculated density: 4.280 Mg/m³
- Formation energy: -2.25 eV/atom
- Crystal system: trigonal

11.
Below is CsErNb6Br18 after structural relaxation, with properties calculated at the GGA-PBE level.

Lattice parameters (Å, degrees): 9.949 9.949 18.545 90.00 90.00 120.00
Positions (direct):
Cs (0.667, 0.333, 0.750)
Cs (0.333, 0.667, 0.250)
Er (0.333, 0.667, 0.750)
Er (0.667, 0.333, 0.250)
Nb (0.038, 0.188, 0.935)
Nb (0.188, 0.038, 0.435)
Nb (0.150, 0.188, 0.565)
Nb (0.850, 0.812, 0.435)
Nb (0.812, 0.962, 0.565)
Nb (0.962, 0.150, 0.435)
Nb (0.812, 0.850, 0.935)
Nb (0.150, 0.962, 0.935)
Nb (0.850, 0.038, 0.065)
Nb (0.962, 0.812, 0.065)
Nb (0.038, 0.850, 0.565)
Nb (0.188, 0.150, 0.065)
Br (0.140, 0.725, 0.001)
Br (0.045, 0.230, 0.159)
Br (0.637, 0.550, 0.337)
Br (0.860, 0.275, 0.999)
Br (0.725, 0.140, 0.501)
Br (0.725, 0.585, 0.999)
Br (0.230, 0.045, 0.659)
Br (0.415, 0.140, 0.999)
Br (0.815, 0.770, 0.659)
Br (0.955, 0.770, 0.841)
Br (0.770, 0.815, 0.159)
Br (0.860, 0.585, 0.501)
Br (0.363, 0.450, 0.663)
Br (0.913, 0.550, 0.163)
Br (0.815, 0.045, 0.841)
Br (0.585, 0.725, 0.499)
Br (0.087, 0.637, 0.663)
Br (0.087, 0.450, 0.837)
Br (0.550, 0.637, 0.837)
Br (0.140, 0.415, 0.499)
Br (0.230, 0.185, 0.841)
Br (0.955, 0.185, 0.659)
Br (0.275, 0.860, 0.499)
Br (0.363, 0.913, 0.837)
Br (0.275, 0.415, 0.001)
Br (0.045, 0.815, 0.341)
Br (0.450, 0.363, 0.163)
Br (0.185, 0.955, 0.159)
Br (0.770, 0.955, 0.341)
Br (0.415, 0.275, 0.501)
Br (0.585, 0.860, 0.001)
Br (0.185, 0.230, 0.341)
Br (0.913, 0.363, 0.337)
Br (0.550, 0.913, 0.663)
Br (0.637, 0.087, 0.163)
Br (0.450, 0.087, 0.337)

## Properties
- Raw total energy: -0.1771 hartree per atom
- Symmetry: No. 163
- Calculated density: 4.796 Mg/m³
- Formation energy: -1.51 eV/atom
- Crystal system: trigonal

12.
Below is CsErTa6Br18 after structural relaxation, with properties calculated at the GGA-PBE level.

Lattice parameters (Å, degrees): 9.943 9.943 18.493 90.00 90.00 120.00
Positions (direct):
Cs (0.667, 0.333, 0.250)
Cs (0.333, 0.667, 0.750)
Er (0.667, 0.333, 0.750)
Er (0.333, 0.667, 0.250)
Ta (0.853, 0.815, 0.936)
Ta (0.815, 0.853, 0.436)
Ta (0.038, 0.185, 0.436)
Ta (0.853, 0.038, 0.564)
Ta (0.962, 0.815, 0.564)
Ta (0.038, 0.853, 0.064)
Ta (0.962, 0.147, 0.936)
Ta (0.185, 0.147, 0.564)
Ta (0.147, 0.962, 0.436)
Ta (0.185, 0.038, 0.936)
Ta (0.815, 0.962, 0.064)
Ta (0.147, 0.185, 0.064)
Br (0.088, 0.448, 0.338)
Br (0.586, 0.725, 0.999)
Br (0.230, 0.184, 0.341)
Br (0.275, 0.414, 0.501)
Br (0.275, 0.860, 0.999)
Br (0.552, 0.912, 0.162)
Br (0.552, 0.640, 0.338)
Br (0.860, 0.275, 0.499)
Br (0.140, 0.414, 0.999)
Br (0.725, 0.586, 0.499)
Br (0.816, 0.770, 0.159)
Br (0.770, 0.816, 0.659)
Br (0.046, 0.816, 0.841)
Br (0.640, 0.088, 0.662)
Br (0.184, 0.954, 0.659)
Br (0.230, 0.046, 0.159)
Br (0.360, 0.912, 0.338)
Br (0.414, 0.275, 0.001)
Br (0.414, 0.140, 0.499)
Br (0.140, 0.725, 0.501)
Br (0.640, 0.552, 0.838)
Br (0.448, 0.088, 0.838)
Br (0.725, 0.140, 0.001)
Br (0.912, 0.552, 0.662)
Br (0.360, 0.448, 0.162)
Br (0.448, 0.360, 0.662)
Br (0.954, 0.770, 0.341)
Br (0.046, 0.230, 0.659)
Br (0.860, 0.586, 0.001)
Br (0.954, 0.184, 0.159)
Br (0.770, 0.954, 0.841)
Br (0.184, 0.230, 0.841)
Br (0.088, 0.640, 0.162)
Br (0.816, 0.046, 0.341)
Br (0.912, 0.360, 0.838)
Br (0.586, 0.860, 0.501)

## Properties
- Raw total energy: -0.1913 hartree per atom
- Symmetry: No. 163
- Calculated density: 5.924 Mg/m³
- Formation energy: -1.50 eV/atom
- Crystal system: trigonal

13.
Below is CsBr2F7 after structural relaxation, with properties calculated at the GGA-PBE level.

Lattice parameters (Å, degrees): 7.925 8.337 14.600 90.00 122.26 90.00
Positions (direct):
Cs (0.879, 0.918, 0.309)
Cs (0.121, 0.418, 0.191)
Cs (0.121, 0.082, 0.691)
Cs (0.879, 0.582, 0.809)
Br (0.240, 0.923, 0.121)
Br (0.760, 0.423, 0.379)
Br (0.760, 0.077, 0.879)
Br (0.240, 0.577, 0.621)
Br (0.518, 0.723, 0.983)
Br (0.482, 0.223, 0.517)
Br (0.482, 0.277, 0.017)
Br (0.518, 0.777, 0.483)
F (0.383, 0.109, 0.198)
F (0.617, 0.609, 0.302)
F (0.617, 0.891, 0.802)
F (0.383, 0.391, 0.698)
F (0.088, 0.735, 0.045)
F (0.912, 0.235, 0.455)
F (0.912, 0.265, 0.955)
F (0.088, 0.765, 0.545)
F (0.052, 0.973, 0.153)
F (0.948, 0.473, 0.347)
F (0.948, 0.027, 0.847)
F (0.052, 0.527, 0.653)
F (0.462, 0.878, 0.082)
F (0.538, 0.378, 0.418)
F (0.538, 0.122, 0.918)
F (0.462, 0.622, 0.582)
F (0.275, 0.775, 0.850)
F (0.725, 0.275, 0.650)
F (0.725, 0.225, 0.150)
F (0.275, 0.725, 0.350)
F (0.583, 0.590, 0.906)
F (0.417, 0.090, 0.594)
F (0.417, 0.410, 0.094)
F (0.583, 0.910, 0.406)
F (0.763, 0.661, 0.110)
F (0.237, 0.161, 0.390)
F (0.237, 0.339, 0.890)
F (0.763, 0.839, 0.610)

## Properties
- Raw total energy: -0.1150 hartree per atom
- Symmetry: No. 14
- Calculated density: 3.466 Mg/m³
- Formation energy: -1.70 eV/atom
- Crystal system: monoclinic